This record from the Materials Project describes an optimized crystal structure of Ca13Y6F43. The functional is GGA-PBE.

Symmetry: R3, No. 146

Unit cell a=10.389 b=10.389 c=10.389 alpha=110.64 beta=110.64 gamma=110.64
Positions (direct):
Ca (0.000, 0.000, 0.000)
Ca (0.031, 0.547, 0.337)
Ca (0.071, 0.127, 0.702)
Ca (0.127, 0.702, 0.071)
Ca (0.228, 0.863, 0.805)
Ca (0.337, 0.031, 0.547)
Ca (0.394, 0.601, 0.908)
Ca (0.547, 0.337, 0.031)
Ca (0.601, 0.908, 0.394)
Ca (0.702, 0.071, 0.127)
Ca (0.805, 0.228, 0.863)
Ca (0.863, 0.805, 0.228)
Ca (0.908, 0.394, 0.601)
Y (0.162, 0.273, 0.432)
Y (0.273, 0.432, 0.162)
Y (0.432, 0.162, 0.273)
Y (0.500, 0.773, 0.661)
Y (0.661, 0.500, 0.773)
Y (0.773, 0.661, 0.500)
F (0.003, 0.902, 0.747)
F (0.027, 0.198, 0.914)
F (0.060, 0.480, 0.107)
F (0.084, 0.284, 0.204)
F (0.089, 0.770, 0.295)
F (0.107, 0.060, 0.480)
F (0.123, 0.340, 0.651)
F (0.163, 0.629, 0.841)
F (0.198, 0.914, 0.027)
F (0.204, 0.084, 0.284)
F (0.263, 0.542, 0.558)
F (0.278, 0.814, 0.590)
F (0.284, 0.204, 0.084)
F (0.295, 0.089, 0.770)
F (0.313, 0.376, 0.942)
F (0.340, 0.651, 0.123)
F (0.354, 0.656, 0.387)
F (0.376, 0.942, 0.313)
F (0.381, 0.381, 0.381)
F (0.387, 0.354, 0.656)
F (0.451, 0.836, 0.875)
F (0.480, 0.107, 0.060)
F (0.542, 0.558, 0.263)
F (0.556, 0.995, 0.625)
F (0.558, 0.263, 0.542)
F (0.590, 0.278, 0.814)
F (0.591, 0.687, 0.827)
F (0.625, 0.556, 0.995)
F (0.629, 0.841, 0.163)
F (0.651, 0.123, 0.340)
F (0.656, 0.387, 0.354)
F (0.687, 0.827, 0.591)
F (0.747, 0.003, 0.902)
F (0.770, 0.295, 0.089)
F (0.814, 0.590, 0.278)
F (0.827, 0.591, 0.687)
F (0.836, 0.875, 0.451)
F (0.841, 0.163, 0.629)
F (0.875, 0.451, 0.836)
F (0.902, 0.747, 0.003)
F (0.914, 0.027, 0.198)
F (0.942, 0.313, 0.376)
F (0.995, 0.625, 0.556)

This record from the Materials Project describes an optimized crystal structure of Nb4Rh2C. The functional is GGA-PBE.

Symmetry: Fd-3m, No. 227

Unit cell a=8.477 b=8.477 c=8.477 alpha=60.00 beta=60.00 gamma=60.00
Positions (direct):
Nb (0.000, 0.000, 0.000)
Nb (0.000, 0.000, 0.500)
Nb (0.000, 0.500, 0.000)
Nb (0.192, 0.192, 0.558)
Nb (0.192, 0.558, 0.192)
Nb (0.192, 0.558, 0.558)
Nb (0.442, 0.442, 0.808)
Nb (0.442, 0.808, 0.442)
Nb (0.442, 0.808, 0.808)
Nb (0.500, 0.000, 0.000)
Nb (0.558, 0.192, 0.192)
Nb (0.558, 0.192, 0.558)
Nb (0.558, 0.558, 0.192)
Nb (0.808, 0.442, 0.442)
Nb (0.808, 0.442, 0.808)
Nb (0.808, 0.808, 0.442)
Rh (0.137, 0.788, 0.788)
Rh (0.212, 0.212, 0.212)
Rh (0.212, 0.212, 0.863)
Rh (0.212, 0.863, 0.212)
Rh (0.788, 0.137, 0.788)
Rh (0.788, 0.788, 0.137)
Rh (0.788, 0.788, 0.788)
Rh (0.863, 0.212, 0.212)
C (0.000, 0.500, 0.500)
C (0.500, 0.000, 0.500)
C (0.500, 0.500, 0.000)
C (0.500, 0.500, 0.500)

This record from the Materials Project describes an optimized crystal structure of Dy2CuRu. The functional is GGA-PBE.

Symmetry: Fm-3m, No. 225

Unit cell a=6.869 b=6.869 c=6.869 alpha=90.00 beta=90.00 gamma=90.00
Positions (direct):
Dy (0.250, 0.250, 0.250)
Dy (0.250, 0.250, 0.750)
Dy (0.250, 0.750, 0.250)
Dy (0.250, 0.750, 0.750)
Dy (0.750, 0.250, 0.250)
Dy (0.750, 0.250, 0.750)
Dy (0.750, 0.750, 0.250)
Dy (0.750, 0.750, 0.750)
Cu (0.000, 0.000, 0.000)
Cu (0.000, 0.500, 0.500)
Cu (0.500, 0.000, 0.500)
Cu (0.500, 0.500, 0.000)
Ru (0.000, 0.000, 0.500)
Ru (0.000, 0.500, 0.000)
Ru (0.500, 0.000, 0.000)
Ru (0.500, 0.500, 0.500)

| no. | calculated formation energy (eV per formula unit) | theoretical density (g/cm3) |
| --- | --- | --- |
| 1 | -263.4 | 3.77 |
| 2 | -2.8 | 9.09 |
| 3 | -1.4 | 10.04 |